# ScOF (meta-GGA r2SCAN, optimized geometry)
# Theoretical density   3.8 g/cm3
# Total magnetic moment   0.000 μB/f.u.
# E_form   -4.061 eV/atom
data_ScOF
_cell_length_a 5.1843
_cell_length_b 5.1560
_cell_length_c 5.2496
_cell_angle_alpha 90.00
_cell_angle_beta 99.86
_cell_angle_gamma 90.00
_space_group_name_H-M_alt 'P 1 21/c 1'
_space_group_IT_number 14
loop_
_space_group_symop_operation_xyz
'x,y,z'
'-x,-y,-z'
'-x,y+1/2,-z+1/2'
'x,-y+1/2,z+1/2'
loop_
_atom_site_label
_atom_site_fract_x
_atom_site_fract_y
_atom_site_fract_z
Sc1 0.1922 0.0275 0.2878
O1 0.0441 0.7463 0.5122
F1 0.4431 0.1747 0.6578